(1)
Density functional theory data (PBE-GGA) for InSnPS2O12 after structural relaxation.

a b c (Å): 8.814 8.825 23.027
angles (deg): 89.83 90.00 119.96
Fractional coordinates of all 102 atoms:
O 0.838 0.292 0.527
O 0.355 0.488 0.076
O 0.484 0.358 0.137
O 0.134 0.653 0.076
O 0.178 0.194 0.408
O 0.184 0.978 0.910
O 0.779 0.961 0.697
O 0.454 0.292 0.027
O 0.198 0.026 0.590
O 0.848 0.551 0.030
O 0.843 0.536 0.744
O 0.636 0.503 0.923
O 0.310 0.853 0.970
O 0.374 0.885 0.864
O 0.823 0.797 0.305
O 0.505 0.358 0.426
O 0.512 0.633 0.863
O 0.853 0.358 0.926
O 0.216 0.028 0.302
O 0.039 0.220 0.197
O 0.794 0.978 0.410
O 0.133 0.488 0.576
O 0.218 0.189 0.802
O 0.547 0.697 0.968
O 0.703 0.551 0.530
O 0.970 0.802 0.090
O 0.678 0.144 0.743
O 0.304 0.454 0.471
O 0.450 0.154 0.531
O 0.641 0.121 0.136
O 0.831 0.802 0.590
O 0.181 0.220 0.697
O 0.313 0.472 0.757
O 0.542 0.853 0.470
O 0.171 0.701 0.756
O 0.974 0.797 0.805
O 0.160 0.472 0.257
O 0.971 0.189 0.302
O 0.357 0.870 0.575
O 0.038 0.831 0.694
O 0.867 0.503 0.423
O 0.635 0.518 0.635
O 0.638 0.135 0.423
O 0.149 0.454 0.971
O 0.150 0.697 0.468
O 0.121 0.633 0.363
O 0.303 0.831 0.259
O 0.115 0.490 0.862
O 0.182 0.961 0.197
O 0.528 0.831 0.759
O 0.529 0.701 0.256
O 0.016 0.194 0.908
O 0.693 0.536 0.244
O 0.020 0.816 0.409
O 0.480 0.121 0.636
O 0.498 0.135 0.923
O 0.374 0.490 0.362
O 0.793 0.831 0.194
O 0.971 0.160 0.591
O 0.511 0.885 0.364
O 0.519 0.653 0.576
O 0.513 0.870 0.075
O 0.796 0.816 0.909
O 0.189 0.160 0.091
O 0.873 0.358 0.637
O 0.846 0.311 0.241
O 0.467 0.144 0.243
O 0.466 0.311 0.741
O 0.829 0.026 0.090
O 0.883 0.518 0.135
O 0.812 0.028 0.802
O 0.704 0.154 0.031
S 0.668 0.042 0.084
S 0.374 0.042 0.584
S 0.338 0.959 0.918
S 0.001 0.295 0.250
S 0.292 0.994 0.251
S 0.670 0.628 0.584
S 0.294 0.295 0.750
S 0.622 0.959 0.418
S 0.958 0.628 0.084
S 0.622 0.664 0.916
S 0.702 0.994 0.751
S 0.042 0.664 0.416
Sn 0.000 0.001 0.647
Sn 0.665 0.333 0.981
Sn 0.344 0.662 0.314
Sn 0.001 0.001 0.147
Sn 0.668 0.333 0.481
Sn 0.318 0.662 0.814
P 0.954 0.328 0.584
P 0.336 0.373 0.417
P 0.714 0.716 0.251
P 0.373 0.328 0.084
P 0.002 0.716 0.751
P 0.036 0.373 0.917
In 0.662 0.341 0.188
In 0.001 0.001 0.854
In 0.679 0.341 0.688
In 0.001 0.001 0.354
In 0.325 0.654 0.521
In 0.329 0.654 0.021

Computed properties:
* formation energy from the elements: -2060.6 meV per atom
* symmetry: Cc, No. 9
* crystal system: monoclinic

(2)
Density functional theory data (PBE-GGA) for TaInP2SO12 after structural relaxation.

a b c (Å): 8.853 8.889 22.762
angles (deg): 90.40 90.00 119.87
Fractional coordinates of all 102 atoms:
In 0.669 0.334 0.189
In 0.336 0.668 0.522
In 0.665 0.334 0.689
In 0.998 0.001 0.355
In 0.003 0.001 0.855
In 0.332 0.668 0.022
O 0.865 0.372 0.925
O 0.208 0.028 0.305
O 0.810 0.787 0.303
O 0.700 0.527 0.529
O 0.874 0.514 0.138
O 0.789 0.828 0.198
O 0.840 0.039 0.092
O 0.477 0.120 0.636
O 0.133 0.659 0.073
O 0.801 0.812 0.906
O 0.160 0.193 0.696
O 0.163 0.966 0.195
O 0.293 0.825 0.259
O 0.820 0.028 0.805
O 0.010 0.812 0.406
O 0.674 0.539 0.242
O 0.846 0.801 0.594
O 0.643 0.120 0.136
O 0.532 0.705 0.259
O 0.865 0.491 0.426
O 0.310 0.454 0.470
O 0.507 0.372 0.425
O 0.626 0.491 0.926
O 0.193 0.993 0.907
O 0.466 0.326 0.740
O 0.173 0.705 0.759
O 0.621 0.134 0.428
O 0.199 0.039 0.592
O 0.860 0.326 0.240
O 0.677 0.145 0.739
O 0.830 0.300 0.529
O 0.960 0.158 0.592
O 0.532 0.872 0.075
O 0.288 0.468 0.761
O 0.039 0.828 0.698
O 0.526 0.659 0.573
O 0.366 0.860 0.862
O 0.180 0.468 0.261
O 0.874 0.361 0.638
O 0.198 0.158 0.092
O 0.468 0.145 0.239
O 0.977 0.787 0.803
O 0.800 0.993 0.407
O 0.372 0.495 0.364
O 0.513 0.134 0.928
O 0.153 0.694 0.471
O 0.344 0.478 0.073
O 0.307 0.848 0.972
O 0.007 0.206 0.908
O 0.486 0.361 0.138
O 0.122 0.495 0.864
O 0.541 0.694 0.971
O 0.865 0.539 0.742
O 0.341 0.872 0.575
O 0.532 0.825 0.759
O 0.494 0.860 0.362
O 0.955 0.801 0.094
O 0.470 0.300 0.029
O 0.198 0.206 0.408
O 0.144 0.454 0.970
O 0.973 0.181 0.305
O 0.208 0.181 0.805
O 0.541 0.848 0.472
O 0.803 0.966 0.695
O 0.033 0.193 0.196
O 0.706 0.161 0.031
O 0.135 0.478 0.573
O 0.496 0.633 0.862
O 0.640 0.514 0.638
O 0.456 0.161 0.531
O 0.136 0.633 0.362
O 0.827 0.527 0.029
P 0.005 0.288 0.251
P 0.620 0.666 0.917
P 0.047 0.666 0.417
P 0.617 0.955 0.417
P 0.338 0.955 0.917
P 0.283 0.288 0.751
P 0.950 0.621 0.084
P 0.672 0.621 0.584
P 0.953 0.333 0.584
P 0.287 0.000 0.250
P 0.713 0.000 0.750
P 0.380 0.333 0.084
S 0.009 0.715 0.750
S 0.342 0.382 0.416
S 0.706 0.715 0.250
S 0.373 0.049 0.583
S 0.675 0.049 0.083
S 0.040 0.382 0.916
Ta 0.346 0.672 0.810
Ta 0.993 0.005 0.643
Ta 0.012 0.005 0.143
Ta 0.660 0.339 0.976
Ta 0.679 0.339 0.476
Ta 0.327 0.672 0.310

Computed properties:
* formation energy from the elements: -2544.9 meV per atom

(3)
Density functional theory data (PBE-GGA) for TaIn3P2S4O24 after structural relaxation.

a b c (Å): 8.875 8.880 22.995
angles (deg): 89.85 90.07 119.78
Fractional coordinates of all 102 atoms:
O 0.028 0.828 0.405
O 0.147 0.648 0.363
O 0.802 0.805 0.906
O 0.863 0.372 0.928
O 0.356 0.495 0.364
O 0.150 0.455 0.973
O 0.823 0.797 0.589
O 0.692 0.544 0.530
O 0.772 0.951 0.696
O 0.976 0.787 0.802
O 0.513 0.875 0.074
O 0.671 0.149 0.743
O 0.154 0.699 0.471
O 0.468 0.144 0.242
O 0.626 0.489 0.928
O 0.970 0.178 0.304
O 0.496 0.372 0.418
O 0.163 0.687 0.763
O 0.882 0.362 0.635
O 0.870 0.498 0.418
O 0.839 0.528 0.030
O 0.828 0.039 0.084
O 0.522 0.831 0.766
O 0.851 0.325 0.243
O 0.301 0.851 0.972
O 0.544 0.848 0.469
O 0.484 0.357 0.136
O 0.218 0.188 0.802
O 0.879 0.520 0.135
O 0.357 0.871 0.578
O 0.980 0.177 0.590
O 0.316 0.839 0.262
O 0.136 0.505 0.865
O 0.668 0.528 0.243
O 0.125 0.642 0.075
O 0.013 0.202 0.907
O 0.620 0.119 0.418
O 0.181 0.211 0.407
O 0.505 0.856 0.364
O 0.473 0.333 0.743
O 0.309 0.458 0.469
O 0.451 0.150 0.529
O 0.186 0.231 0.698
O 0.215 0.169 0.085
O 0.507 0.137 0.928
O 0.959 0.793 0.086
O 0.369 0.865 0.865
O 0.789 0.972 0.408
O 0.198 0.025 0.590
O 0.510 0.644 0.577
O 0.215 0.026 0.302
O 0.308 0.474 0.763
O 0.638 0.120 0.135
O 0.134 0.487 0.577
O 0.820 0.030 0.804
O 0.049 0.816 0.698
O 0.812 0.781 0.302
O 0.853 0.303 0.530
O 0.479 0.316 0.031
O 0.479 0.124 0.635
O 0.639 0.518 0.636
O 0.770 0.816 0.198
O 0.526 0.691 0.263
O 0.168 0.475 0.265
O 0.048 0.221 0.196
O 0.496 0.630 0.865
O 0.182 0.952 0.198
O 0.684 0.161 0.030
O 0.546 0.697 0.973
O 0.190 0.992 0.903
O 0.363 0.485 0.076
O 0.857 0.532 0.743
P 0.047 0.383 0.918
P 0.333 0.955 0.917
P 0.620 0.664 0.918
P 0.705 0.998 0.751
P 0.001 0.290 0.251
P 0.043 0.668 0.417
S 0.701 0.706 0.251
S 0.665 0.046 0.082
S 0.335 0.380 0.417
S 0.006 0.707 0.751
S 0.294 0.300 0.751
S 0.383 0.332 0.082
S 0.293 0.996 0.250
S 0.667 0.625 0.583
S 0.953 0.623 0.082
S 0.961 0.332 0.583
S 0.371 0.044 0.583
S 0.617 0.952 0.416
Ta 0.339 0.672 0.816
Ta 0.666 0.332 0.973
Ta 0.323 0.660 0.314
In 0.002 0.007 0.145
In 0.674 0.334 0.188
In 0.673 0.337 0.477
In 0.332 0.667 0.018
In 0.993 0.996 0.650
In 0.995 0.002 0.855
In 0.667 0.329 0.686
In 0.330 0.670 0.522
In 0.997 0.998 0.354

Computed properties:
* formation energy from the elements: -2225.4 meV per atom
* symmetry: P1, No. 1
* crystal system: triclinic

(4)
Density functional theory data (PBE-GGA) for ZrInPS2O12 after structural relaxation.

a b c (Å): 8.964 8.953 23.173
angles (deg): 90.08 90.00 120.04
Fractional coordinates of all 102 atoms:
S 0.664 0.622 0.583
S 0.380 0.043 0.583
S 0.663 0.043 0.083
S 0.995 0.289 0.250
S 0.622 0.953 0.417
S 0.331 0.953 0.917
S 0.709 0.000 0.750
S 0.958 0.622 0.083
S 0.623 0.670 0.916
S 0.046 0.670 0.416
S 0.293 0.289 0.750
S 0.291 0.000 0.250
O 0.824 0.795 0.305
O 0.513 0.871 0.074
O 0.310 0.463 0.758
O 0.356 0.491 0.075
O 0.845 0.310 0.240
O 0.803 0.830 0.197
O 0.126 0.639 0.365
O 0.822 0.794 0.591
O 0.153 0.455 0.970
O 0.633 0.516 0.635
O 0.180 0.209 0.698
O 0.638 0.121 0.136
O 0.695 0.154 0.032
O 0.838 0.304 0.530
O 0.217 0.186 0.802
O 0.511 0.874 0.365
O 0.363 0.874 0.865
O 0.494 0.358 0.427
O 0.692 0.533 0.242
O 0.517 0.649 0.575
O 0.797 0.818 0.909
O 0.358 0.871 0.574
O 0.544 0.850 0.469
O 0.873 0.512 0.425
O 0.549 0.700 0.969
O 0.842 0.533 0.742
O 0.021 0.818 0.409
O 0.464 0.148 0.242
O 0.131 0.493 0.863
O 0.466 0.304 0.030
O 0.020 0.195 0.906
O 0.973 0.171 0.594
O 0.847 0.541 0.032
O 0.482 0.121 0.636
O 0.464 0.310 0.740
O 0.968 0.186 0.302
O 0.027 0.830 0.697
O 0.639 0.512 0.925
O 0.152 0.463 0.258
O 0.638 0.127 0.425
O 0.487 0.363 0.137
O 0.029 0.209 0.198
O 0.198 0.171 0.094
O 0.876 0.363 0.637
O 0.794 0.977 0.409
O 0.537 0.697 0.259
O 0.306 0.850 0.969
O 0.883 0.516 0.135
O 0.972 0.794 0.091
O 0.792 0.972 0.699
O 0.489 0.127 0.925
O 0.538 0.842 0.759
O 0.864 0.358 0.927
O 0.302 0.455 0.470
O 0.216 0.032 0.302
O 0.971 0.795 0.805
O 0.161 0.697 0.759
O 0.362 0.493 0.363
O 0.175 0.195 0.406
O 0.131 0.649 0.075
O 0.459 0.154 0.532
O 0.206 0.027 0.591
O 0.150 0.700 0.469
O 0.684 0.148 0.742
O 0.816 0.032 0.802
O 0.695 0.541 0.532
O 0.134 0.491 0.575
O 0.183 0.977 0.909
O 0.513 0.639 0.865
O 0.180 0.972 0.199
O 0.304 0.842 0.259
O 0.821 0.027 0.091
P 0.995 0.713 0.750
P 0.330 0.373 0.417
P 0.956 0.335 0.583
P 0.379 0.335 0.083
P 0.043 0.373 0.917
P 0.718 0.713 0.250
In 0.330 0.655 0.020
In 0.661 0.340 0.187
In 0.001 0.000 0.353
In 0.999 0.000 0.853
In 0.678 0.340 0.687
In 0.325 0.655 0.520
Zr 0.342 0.659 0.310
Zr 0.999 0.000 0.143
Zr 0.317 0.659 0.810
Zr 0.669 0.333 0.477
Zr 0.664 0.333 0.977
Zr 0.001 0.000 0.643

Computed properties:
* formation energy from the elements: -2428.1 meV per atom
* symmetry: Cc, No. 9
* crystal system: monoclinic

- Among the records above, which one has the lowest formation energy from the elements?
  TaInP2SO12

- What is the formation energy from the elements in the third record?
  -2225.4 meV per atom

What did the first record say?
Density functional theory data (PBE-GGA) for InSnPS2O12 after structural relaxation.

a b c (Å): 8.814 8.825 23.027
angles (deg): 89.83 90.00 119.96
Fractional coordinates of all 102 atoms:
O 0.838 0.292 0.527
O 0.355 0.488 0.076
O 0.484 0.358 0.137
O 0.134 0.653 0.076
O 0.178 0.194 0.408
O 0.184 0.978 0.910
O 0.779 0.961 0.697
O 0.454 0.292 0.027
O 0.198 0.026 0.590
O 0.848 0.551 0.030
O 0.843 0.536 0.744
O 0.636 0.503 0.923
O 0.310 0.853 0.970
O 0.374 0.885 0.864
O 0.823 0.797 0.305
O 0.505 0.358 0.426
O 0.512 0.633 0.863
O 0.853 0.358 0.926
O 0.216 0.028 0.302
O 0.039 0.220 0.197
O 0.794 0.978 0.410
O 0.133 0.488 0.576
O 0.218 0.189 0.802
O 0.547 0.697 0.968
O 0.703 0.551 0.530
O 0.970 0.802 0.090
O 0.678 0.144 0.743
O 0.304 0.454 0.471
O 0.450 0.154 0.531
O 0.641 0.121 0.136
O 0.831 0.802 0.590
O 0.181 0.220 0.697
O 0.313 0.472 0.757
O 0.542 0.853 0.470
O 0.171 0.701 0.756
O 0.974 0.797 0.805
O 0.160 0.472 0.257
O 0.971 0.189 0.302
O 0.357 0.870 0.575
O 0.038 0.831 0.694
O 0.867 0.503 0.423
O 0.635 0.518 0.635
O 0.638 0.135 0.423
O 0.149 0.454 0.971
O 0.150 0.697 0.468
O 0.121 0.633 0.363
O 0.303 0.831 0.259
O 0.115 0.490 0.862
O 0.182 0.961 0.197
O 0.528 0.831 0.759
O 0.529 0.701 0.256
O 0.016 0.194 0.908
O 0.693 0.536 0.244
O 0.020 0.816 0.409
O 0.480 0.121 0.636
O 0.498 0.135 0.923
O 0.374 0.490 0.362
O 0.793 0.831 0.194
O 0.971 0.160 0.591
O 0.511 0.885 0.364
O 0.519 0.653 0.576
O 0.513 0.870 0.075
O 0.796 0.816 0.909
O 0.189 0.160 0.091
O 0.873 0.358 0.637
O 0.846 0.311 0.241
O 0.467 0.144 0.243
O 0.466 0.311 0.741
O 0.829 0.026 0.090
O 0.883 0.518 0.135
O 0.812 0.028 0.802
O 0.704 0.154 0.031
S 0.668 0.042 0.084
S 0.374 0.042 0.584
S 0.338 0.959 0.918
S 0.001 0.295 0.250
S 0.292 0.994 0.251
S 0.670 0.628 0.584
S 0.294 0.295 0.750
S 0.622 0.959 0.418
S 0.958 0.628 0.084
S 0.622 0.664 0.916
S 0.702 0.994 0.751
S 0.042 0.664 0.416
Sn 0.000 0.001 0.647
Sn 0.665 0.333 0.981
Sn 0.344 0.662 0.314
Sn 0.001 0.001 0.147
Sn 0.668 0.333 0.481
Sn 0.318 0.662 0.814
P 0.954 0.328 0.584
P 0.336 0.373 0.417
P 0.714 0.716 0.251
P 0.373 0.328 0.084
P 0.002 0.716 0.751
P 0.036 0.373 0.917
In 0.662 0.341 0.188
In 0.001 0.001 0.854
In 0.679 0.341 0.688
In 0.001 0.001 0.354
In 0.325 0.654 0.521
In 0.329 0.654 0.021

Computed properties:
* formation energy from the elements: -2060.6 meV per atom
* symmetry: Cc, No. 9
* crystal system: monoclinic

Please write out number 3 again, unchanged.
Density functional theory data (PBE-GGA) for TaIn3P2S4O24 after structural relaxation.

a b c (Å): 8.875 8.880 22.995
angles (deg): 89.85 90.07 119.78
Fractional coordinates of all 102 atoms:
O 0.028 0.828 0.405
O 0.147 0.648 0.363
O 0.802 0.805 0.906
O 0.863 0.372 0.928
O 0.356 0.495 0.364
O 0.150 0.455 0.973
O 0.823 0.797 0.589
O 0.692 0.544 0.530
O 0.772 0.951 0.696
O 0.976 0.787 0.802
O 0.513 0.875 0.074
O 0.671 0.149 0.743
O 0.154 0.699 0.471
O 0.468 0.144 0.242
O 0.626 0.489 0.928
O 0.970 0.178 0.304
O 0.496 0.372 0.418
O 0.163 0.687 0.763
O 0.882 0.362 0.635
O 0.870 0.498 0.418
O 0.839 0.528 0.030
O 0.828 0.039 0.084
O 0.522 0.831 0.766
O 0.851 0.325 0.243
O 0.301 0.851 0.972
O 0.544 0.848 0.469
O 0.484 0.357 0.136
O 0.218 0.188 0.802
O 0.879 0.520 0.135
O 0.357 0.871 0.578
O 0.980 0.177 0.590
O 0.316 0.839 0.262
O 0.136 0.505 0.865
O 0.668 0.528 0.243
O 0.125 0.642 0.075
O 0.013 0.202 0.907
O 0.620 0.119 0.418
O 0.181 0.211 0.407
O 0.505 0.856 0.364
O 0.473 0.333 0.743
O 0.309 0.458 0.469
O 0.451 0.150 0.529
O 0.186 0.231 0.698
O 0.215 0.169 0.085
O 0.507 0.137 0.928
O 0.959 0.793 0.086
O 0.369 0.865 0.865
O 0.789 0.972 0.408
O 0.198 0.025 0.590
O 0.510 0.644 0.577
O 0.215 0.026 0.302
O 0.308 0.474 0.763
O 0.638 0.120 0.135
O 0.134 0.487 0.577
O 0.820 0.030 0.804
O 0.049 0.816 0.698
O 0.812 0.781 0.302
O 0.853 0.303 0.530
O 0.479 0.316 0.031
O 0.479 0.124 0.635
O 0.639 0.518 0.636
O 0.770 0.816 0.198
O 0.526 0.691 0.263
O 0.168 0.475 0.265
O 0.048 0.221 0.196
O 0.496 0.630 0.865
O 0.182 0.952 0.198
O 0.684 0.161 0.030
O 0.546 0.697 0.973
O 0.190 0.992 0.903
O 0.363 0.485 0.076
O 0.857 0.532 0.743
P 0.047 0.383 0.918
P 0.333 0.955 0.917
P 0.620 0.664 0.918
P 0.705 0.998 0.751
P 0.001 0.290 0.251
P 0.043 0.668 0.417
S 0.701 0.706 0.251
S 0.665 0.046 0.082
S 0.335 0.380 0.417
S 0.006 0.707 0.751
S 0.294 0.300 0.751
S 0.383 0.332 0.082
S 0.293 0.996 0.250
S 0.667 0.625 0.583
S 0.953 0.623 0.082
S 0.961 0.332 0.583
S 0.371 0.044 0.583
S 0.617 0.952 0.416
Ta 0.339 0.672 0.816
Ta 0.666 0.332 0.973
Ta 0.323 0.660 0.314
In 0.002 0.007 0.145
In 0.674 0.334 0.188
In 0.673 0.337 0.477
In 0.332 0.667 0.018
In 0.993 0.996 0.650
In 0.995 0.002 0.855
In 0.667 0.329 0.686
In 0.330 0.670 0.522
In 0.997 0.998 0.354

Computed properties:
* formation energy from the elements: -2225.4 meV per atom
* symmetry: P1, No. 1
* crystal system: triclinic